## CaSn2O4 (GGA-PBE)

Data for a relaxed structure of CaSn2O4.

## Properties
formation enthalpy at 0 K = -15.72 eV per formula unit
raw total energy = -6.1133 eV per atom
theoretical density = 4.31 g cm⁻³
crystal system = orthorhombic
energy relative to the lowest polymorph listed for this composition = 0.45 eV/f.u.

Structure (CIF):
```
data_CaSn2O4
_chemical_formula_sum 'Ca4 Sn8 O16'
_cell_length_a 6.3409
_cell_length_b 11.9580
_cell_length_c 6.9409
_cell_angle_alpha 90.00
_cell_angle_beta 90.00
_cell_angle_gamma 90.00
_symmetry_space_group_name_H-M 'P m m n'
_symmetry_Int_Tables_number 59
loop_
_symmetry_equiv_pos_as_xyz
'x,y,z'
'-x,-y,-z'
'-x+1/2,-y+1/2,z'
'x+1/2,y+1/2,-z'
'x+1/2,-y,-z'
'-x+1/2,y,z'
'-x,y+1/2,-z'
'x,-y+1/2,z'
loop_
_atom_site_label
_atom_site_type_symbol
_atom_site_fract_x
_atom_site_fract_y
_atom_site_fract_z
Ca1 Ca 0.2500 0.2500 0.0527
Ca2 Ca 0.2500 0.7500 0.7022
Sn1 Sn 0.0000 0.0000 0.0000
Sn2 Sn 0.2500 0.0449 0.3988
O1 O 0.0130 0.1246 0.2230
O2 O 0.2500 0.0860 0.8735
O3 O 0.2500 0.5756 0.1626
```

=====

## GdErCo4 (GGA-PBE)

Data for a relaxed structure of GdErCo4.

## Properties
formation enthalpy at 0 K = -1.26 eV per formula unit
raw total energy = -8.0555 eV per atom
theoretical density = 10.28 g cm⁻³
crystal system = cubic

Structure (CIF):
```
data_GdErCo4
_chemical_formula_sum 'Gd4 Er4 Co16'
_cell_length_a 7.1279
_cell_length_b 7.1279
_cell_length_c 7.1279
_cell_angle_alpha 90.00
_cell_angle_beta 90.00
_cell_angle_gamma 90.00
_symmetry_space_group_name_H-M 'F -4 3 m'
_symmetry_Int_Tables_number 216
_symmetry_space_group_name_Hall 'F -4 2 3'
loop_
_atom_site_label
_atom_site_type_symbol
_atom_site_fract_x
_atom_site_fract_y
_atom_site_fract_z
Gd1 Gd 0.0000 0.0000 0.0000
Er1 Er 0.2500 0.2500 0.2500
Co1 Co 0.1250 0.1250 0.6250
```

=====

## KNdTiO4 (GGA-PBE)

Data for a relaxed structure of KNdTiO4.

## Properties
formation enthalpy at 0 K = -23.46 eV per formula unit
raw total energy = -7.7546 eV per atom
theoretical density = 4.90 g cm⁻³
crystal system = orthorhombic

Structure (CIF):
```
data_KNdTiO4
_chemical_formula_sum 'K4 Nd4 Ti4 O16'
_cell_length_a 13.4118
_cell_length_b 5.4799
_cell_length_c 5.4420
_cell_angle_alpha 90.00
_cell_angle_beta 90.00
_cell_angle_gamma 90.00
_symmetry_space_group_name_H-M 'P b c m'
_symmetry_Int_Tables_number 57
_symmetry_space_group_name_Hall '-P 2c 2b'
loop_
_atom_site_label
_atom_site_type_symbol
_atom_site_fract_x
_atom_site_fract_y
_atom_site_fract_z
K1 K 0.0928 0.0084 0.2500
Nd1 Nd 0.3956 0.0146 0.2500
Ti1 Ti 0.2459 0.5028 0.2500
O1 O 0.1145 0.5132 0.2500
O2 O 0.2705 0.2500 0.0000
O3 O 0.2831 0.7500 0.0000
O4 O 0.4332 0.0415 0.7500
```

=====

## ZrNiGe (GGA-PBE)

Data for a relaxed structure of ZrNiGe.

## Properties
formation enthalpy at 0 K = -2.36 eV per formula unit
raw total energy = -7.1034 eV per atom
theoretical density = 7.73 g cm⁻³
crystal system = orthorhombic

Structure (CIF):
```
data_ZrNiGe
_chemical_formula_sum 'Zr4 Ni4 Ge4'
_cell_length_a 6.5950
_cell_length_b 3.8917
_cell_length_c 7.4533
_cell_angle_alpha 90.00
_cell_angle_beta 90.00
_cell_angle_gamma 90.00
_symmetry_space_group_name_H-M 'P n m a'
_symmetry_Int_Tables_number 62
_symmetry_space_group_name_Hall '-P 2ac 2n'
loop_
_atom_site_label
_atom_site_type_symbol
_atom_site_fract_x
_atom_site_fract_y
_atom_site_fract_z
Zr1 Zr 0.0199 0.2500 0.1885
Ni1 Ni 0.1400 0.2500 0.5605
Ge1 Ge 0.2324 0.7500 0.3831
```

=====

## Dy6Al2SiS14 (GGA-PBE)

Data for a relaxed structure of Dy6Al2SiS14.

## Properties
formation enthalpy at 0 K = -45.54 eV per formula unit
raw total energy = -5.9550 eV per atom
theoretical density = 5.17 g cm⁻³
crystal system = trigonal

Structure (CIF):
```
data_Dy6Al2SiS14
_chemical_formula_sum 'Dy6 Al2 Si1 S14'
_cell_length_a 9.6863
_cell_length_b 9.6863
_cell_length_c 5.9492
_cell_angle_alpha 90.00
_cell_angle_beta 90.00
_cell_angle_gamma 120.00
_symmetry_space_group_name_H-M 'P 3'
_symmetry_Int_Tables_number 143
_symmetry_space_group_name_Hall 'P 3'
loop_
_atom_site_label
_atom_site_type_symbol
_atom_site_fract_x
_atom_site_fract_y
_atom_site_fract_z
Dy1 Dy 0.0358 0.5519 0.0000
Dy2 Dy 0.2993 0.1102 0.5127
Al1 Al 0.3333 0.6667 0.5859
Al2 Al 0.6667 0.3333 0.6915
Si1 Si 0.0000 0.0000 0.0891
S1 S 0.0000 0.0000 0.7307
S2 S 0.0891 0.8579 0.2345
S3 S 0.1872 0.4232 0.7411
S4 S 0.3333 0.6667 0.2119
S5 S 0.4307 0.1975 0.9231
S6 S 0.5210 0.4314 0.4576
```

=====

## Ba6Dy2Al4O15 (GGA-PBE)

Data for a relaxed structure of Ba6Dy2Al4O15.

## Properties
formation enthalpy at 0 K = -91.29 eV per formula unit
raw total energy = -7.0710 eV per atom
theoretical density = 5.44 g cm⁻³
crystal system = orthorhombic
energy relative to the lowest polymorph listed for this composition = 0.91 eV/f.u.

Structure (CIF):
```
data_Ba6Dy2Al4O15
_chemical_formula_sum 'Ba12 Dy4 Al8 O30'
_cell_length_a 14.8973
_cell_length_b 5.9656
_cell_length_c 10.2887
_cell_angle_alpha 90.00
_cell_angle_beta 90.00
_cell_angle_gamma 90.00
_symmetry_space_group_name_H-M 'A m m 2'
_symmetry_Int_Tables_number 38
_symmetry_space_group_name_Hall 'A 2 -2'
loop_
_atom_site_label
_atom_site_type_symbol
_atom_site_fract_x
_atom_site_fract_y
_atom_site_fract_z
Ba1 Ba 0.0000 0.0000 0.0000
Ba2 Ba 0.1534 0.0000 0.6903
Ba3 Ba 0.3237 0.0000 0.3732
Ba4 Ba 0.5000 0.0000 0.0562
Dy1 Dy 0.2500 0.0000 0.0347
Al1 Al 0.1126 0.0000 0.3577
Al2 Al 0.3862 0.0000 0.7072
O1 O 0.0000 0.0000 0.4080
O2 O 0.0000 0.0000 0.7582
O3 O 0.1458 0.0000 0.1922
O4 O 0.1717 0.2334 0.4296
O5 O 0.3388 0.2461 0.6385
O6 O 0.3673 0.0000 0.8781
O7 O 0.5000 0.0000 0.6583
```

=====

## MgAl2SiO7 (GGA-PBE)

Data for a relaxed structure of MgAl2SiO7.

## Properties
formation enthalpy at 0 K = -31.14 eV per formula unit
raw total energy = -6.8620 eV per atom
theoretical density = 3.10 g cm⁻³
crystal system = monoclinic

Structure (CIF):
```
data_MgAl2SiO7
_chemical_formula_sum 'Mg8 Al16 Si8 O56'
_cell_length_a 9.6118
_cell_length_b 5.5823
_cell_length_c 17.7390
_cell_angle_alpha 90.00
_cell_angle_beta 101.03
_cell_angle_gamma 90.00
_symmetry_space_group_name_H-M 'C 1 2/c 1'
_symmetry_Int_Tables_number 15
_symmetry_space_group_name_Hall '-C 2yc'
loop_
_atom_site_label
_atom_site_type_symbol
_atom_site_fract_x
_atom_site_fract_y
_atom_site_fract_z
Mg1 Mg 0.0811 0.2441 0.0006
Al1 Al 0.0000 0.4007 0.7500
Al2 Al 0.2498 0.1519 0.7506
Al3 Al 0.2500 0.2500 0.5000
Si1 Si 0.0342 0.0968 0.3439
O1 O 0.0671 0.0937 0.4389
O2 O 0.1038 0.1464 0.8131
O3 O 0.1042 0.3417 0.3133
O4 O 0.1192 0.4107 0.5485
O5 O 0.1394 0.0990 0.1867
O6 O 0.1499 0.4016 0.7014
O7 O 0.2257 0.4473 0.9552
```

=====

## BaLaCuSe3 (GGA-PBE)

Data for a relaxed structure of BaLaCuSe3.

## Properties
formation enthalpy at 0 K = -11.14 eV per formula unit
raw total energy = -5.1946 eV per atom
theoretical density = 5.63 g cm⁻³
crystal system = orthorhombic

Structure (CIF):
```
data_BaLaCuSe3
_chemical_formula_sum 'Ba4 La4 Cu4 Se12'
_cell_length_a 11.2474
_cell_length_b 4.3100
_cell_length_c 14.0324
_cell_angle_alpha 90.00
_cell_angle_beta 90.00
_cell_angle_gamma 90.00
_symmetry_space_group_name_H-M 'P n m a'
_symmetry_Int_Tables_number 62
_symmetry_space_group_name_Hall '-P 2ac 2n'
loop_
_atom_site_label
_atom_site_type_symbol
_atom_site_fract_x
_atom_site_fract_y
_atom_site_fract_z
Ba1 Ba 0.2283 0.2500 0.0041
La1 La 0.0097 0.7500 0.2598
Cu1 Cu 0.2414 0.7500 0.7835
Se1 Se 0.0579 0.7500 0.8822
Se2 Se 0.0880 0.2500 0.3945
Se3 Se 0.2445 0.2500 0.6817
```

=====

## Li2CuF5 (GGA-PBE)

Data for a relaxed structure of Li2CuF5.

## Properties
formation enthalpy at 0 K = -19.50 eV per formula unit
raw total energy = -4.3354 eV per atom
theoretical density = 3.21 g cm⁻³
crystal system = monoclinic

Structure (CIF):
```
data_Li2CuF5
_chemical_formula_sum 'Li8 Cu4 F20'
_cell_length_a 7.6699
_cell_length_b 4.9913
_cell_length_c 9.8994
_cell_angle_alpha 90.00
_cell_angle_beta 109.90
_cell_angle_gamma 90.00
_symmetry_space_group_name_H-M 'P 1 21/c 1'
_symmetry_Int_Tables_number 14
_symmetry_space_group_name_Hall '-P 2ybc'
loop_
_atom_site_label
_atom_site_type_symbol
_atom_site_fract_x
_atom_site_fract_y
_atom_site_fract_z
Li1 Li 0.1027 0.0158 0.3732
Li2 Li 0.3436 0.5134 0.1748
Cu1 Cu 0.0000 0.0000 0.0000
Cu2 Cu 0.5000 0.0000 0.0000
F1 F 0.0375 0.6496 0.6872
F2 F 0.1280 0.1779 0.5766
F3 F 0.2272 0.6994 0.5075
F4 F 0.3671 0.2473 0.8758
F5 F 0.4811 0.7146 0.3469
```

=====

## NpC (GGA-PBE)

Data for a relaxed structure of NpC.

## Properties
formation enthalpy at 0 K = 0.34 eV per formula unit
raw total energy = -10.9166 eV per atom
theoretical density = 13.58 g cm⁻³
crystal system = cubic

Structure (CIF):
```
data_NpC
_chemical_formula_sum 'Np4 C4'
_cell_length_a 4.9567
_cell_length_b 4.9567
_cell_length_c 4.9567
_cell_angle_alpha 90.00
_cell_angle_beta 90.00
_cell_angle_gamma 90.00
_symmetry_space_group_name_H-M 'F m -3 m'
_symmetry_Int_Tables_number 225
_symmetry_space_group_name_Hall '-F 4 2 3'
loop_
_atom_site_label
_atom_site_type_symbol
_atom_site_fract_x
_atom_site_fract_y
_atom_site_fract_z
Np1 Np 0.0000 0.0000 0.0000
C1 C 0.0000 0.0000 0.5000
```

=====

## CsInI3 (GGA-PBE)

Data for a relaxed structure of CsInI3.

## Properties
formation enthalpy at 0 K = -5.81 eV per formula unit
raw total energy = -2.5783 eV per atom
theoretical density = 4.42 g cm⁻³
crystal system = monoclinic

Structure (CIF):
```
data_CsInI3
_chemical_formula_sum 'Cs1 In1 I3'
_cell_length_a 6.1801
_cell_length_b 6.1769
_cell_length_c 6.1870
_cell_angle_alpha 90.00
_cell_angle_beta 90.03
_cell_angle_gamma 90.00
_symmetry_space_group_name_H-M 'P 1 m 1'
_symmetry_Int_Tables_number 6
_symmetry_space_group_name_Hall 'P -2y'
loop_
_atom_site_label
_atom_site_type_symbol
_atom_site_fract_x
_atom_site_fract_y
_atom_site_fract_z
Cs1 Cs 0.0000 0.0000 0.0000
In1 In 0.4819 0.5000 0.5105
I1 I 0.4918 0.0000 0.5033
I2 I 0.4938 0.5000 0.0045
I3 I 0.9869 0.5000 0.4924
```

=====

## SrCrCu3Se4 (GGA-PBE)

Data for a relaxed structure of SrCrCu3Se4.

## Properties
formation enthalpy at 0 K = -6.18 eV per formula unit
raw total energy = -4.6575 eV per atom
theoretical density = 4.89 g cm⁻³
crystal system = triclinic

Structure (CIF):
```
data_SrCrCu3Se4
_chemical_formula_sum 'Sr1 Cr1 Cu3 Se4'
_cell_length_a 6.0157
_cell_length_b 6.0309
_cell_length_c 6.0426
_cell_angle_alpha 89.98
_cell_angle_beta 89.91
_cell_angle_gamma 89.97
_symmetry_space_group_name_H-M 'P 1'
_symmetry_Int_Tables_number 1
_symmetry_space_group_name_Hall 'P 1'
loop_
_atom_site_label
_atom_site_type_symbol
_atom_site_fract_x
_atom_site_fract_y
_atom_site_fract_z
Sr1 Sr 0.0000 0.0000 0.0000
Cr1 Cr 0.4997 0.4983 0.4992
Cu1 Cu 0.0005 0.4997 0.4987
Cu2 Cu 0.5002 0.9997 0.4991
Cu3 Cu 0.5003 0.4994 0.9987
Se1 Se 0.2744 0.7256 0.7249
Se2 Se 0.2747 0.2735 0.2727
Se3 Se 0.7252 0.7247 0.2733
Se4 Se 0.7265 0.2734 0.7247
```

=====

## U4Be2C5 (GGA-PBE)

Data for a relaxed structure of U4Be2C5.

## Properties
formation enthalpy at 0 K = -0.95 eV per formula unit
raw total energy = -9.0669 eV per atom
theoretical density = 12.06 g cm⁻³
crystal system = monoclinic
energy relative to the lowest polymorph listed for this composition = 0.00 eV/f.u.

Structure (CIF):
```
data_U4Be2C5
_chemical_formula_sum 'U8 Be4 C10'
_cell_length_a 5.0504
_cell_length_b 11.1398
_cell_length_c 5.0455
_cell_angle_alpha 90.00
_cell_angle_beta 91.27
_cell_angle_gamma 90.00
_symmetry_space_group_name_H-M 'C 1 2/m 1'
_symmetry_Int_Tables_number 12
_symmetry_space_group_name_Hall '-C 2y'
loop_
_atom_site_label
_atom_site_type_symbol
_atom_site_fract_x
_atom_site_fract_y
_atom_site_fract_z
U1 U 0.2474 0.1351 0.2469
Be1 Be 0.2430 0.0000 0.7554
C1 C 0.0000 0.0000 0.0000
C2 C 0.2337 0.3373 0.2690
```

=====

## Si4SnO10 (GGA-PBE)

Data for a relaxed structure of Si4SnO10.

## Properties
formation enthalpy at 0 K = -42.69 eV per formula unit
raw total energy = -7.4005 eV per atom
theoretical density = 2.85 g cm⁻³
crystal system = tetragonal

Structure (CIF):
```
data_Si4SnO10
_chemical_formula_sum 'Si16 Sn4 O40'
_cell_length_a 7.5577
_cell_length_b 7.5577
_cell_length_c 15.9674
_cell_angle_alpha 90.00
_cell_angle_beta 90.00
_cell_angle_gamma 90.00
_symmetry_space_group_name_H-M 'P 4/n c c'
_symmetry_Int_Tables_number 130
loop_
_symmetry_equiv_pos_as_xyz
'x,y,z'
'-x,-y,-z'
'-y+1/2,x,z'
'y+1/2,-x,-z'
'-x+1/2,-y+1/2,z'
'x+1/2,y+1/2,-z'
'y,-x+1/2,z'
'-y,x+1/2,-z'
'x+1/2,-y,-z+1/2'
'-x+1/2,y,z+1/2'
'-y,-x,-z+1/2'
'y,x,z+1/2'
'-x,y+1/2,-z+1/2'
'x,-y+1/2,z+1/2'
'y+1/2,x+1/2,-z+1/2'
'-y+1/2,-x+1/2,z+1/2'
loop_
_atom_site_label
_atom_site_type_symbol
_atom_site_fract_x
_atom_site_fract_y
_atom_site_fract_z
Si1 Si 0.0124 0.0759 0.1522
Sn1 Sn 0.2500 0.2500 0.4067
O1 O 0.0051 0.2124 0.6338
O2 O 0.0155 0.1344 0.4082
O3 O 0.0356 0.5356 0.2500
```